1.
# TmMgFe2O4

A relaxed structure of TmMgFe2O4 (GGA+U, the Materials Project). Values from VASP.

Cell and atoms, written as Quantum ESPRESSO input:
```
&SYSTEM
  ibrav = 0, nat = 8, ntyp = 4
/
ATOMIC_SPECIES
O 16.00 O.upf
Mg 24.30 Mg.upf
Fe 55.84 Fe.upf
Tm 168.93 Tm.upf
CELL_PARAMETERS angstrom
-1.603 -3.032 0.136
1.603 -3.032 0.136
0.000 -2.529 10.940
ATOMIC_POSITIONS angstrom
O 0.000 -2.538 7.666
Mg 0.000 -4.375 8.578
O 0.000 -2.081 1.459
Fe 0.000 -2.073 3.601
O 0.000 -6.216 4.231
Tm 0.000 -0.160 0.370
Fe 0.000 -6.004 6.213
O 0.000 -6.813 10.223
```

Values from the calculation:
- mass density (Mg/m³) = 5.8
- formation energy (meV per atom) = -2265
- magnetization (μB per atom) = 0.93
- space-group type = Cm

2.
# Li8Mn5Fe3B8O24

A relaxed structure of Li8Mn5Fe3B8O24 (GGA+U, the Materials Project). Values from VASP.

Cell and atoms, written as Quantum ESPRESSO input:
```
&SYSTEM
  ibrav = 0, nat = 48, ntyp = 5
/
ATOMIC_SPECIES
B 10.81 B.upf
O 16.00 O.upf
Li 6.94 Li.upf
Mn 54.94 Mn.upf
Fe 55.84 Fe.upf
CELL_PARAMETERS angstrom
6.031 0.000 0.000
1.943 9.542 0.000
1.839 3.963 8.826
ATOMIC_POSITIONS angstrom
B 7.018 9.832 8.500
O 3.925 7.434 3.070
B 5.110 3.104 4.074
O 5.269 5.310 0.930
Li 5.038 7.808 6.053
Mn 7.608 10.058 5.535
O 8.527 12.938 7.867
O 1.650 7.356 0.539
Fe 4.087 10.221 7.695
O 8.171 6.152 8.291
O 3.721 2.624 0.579
Li 6.661 12.452 7.195
O 7.869 9.414 7.478
O 1.957 4.082 1.375
O 4.557 8.181 7.906
O 5.957 8.859 1.334
Li 7.077 3.032 6.035
O 5.907 6.067 5.755
O 3.866 10.831 5.805
O 1.292 0.572 0.952
Li 2.689 7.694 7.209
B 4.684 10.420 4.756
Mn 6.155 5.445 7.729
O 3.856 4.655 7.483
Fe 2.184 3.416 3.304
B 3.091 7.872 4.091
O 5.220 2.556 5.339
Mn 6.193 8.211 3.293
Mn 3.658 8.063 1.099
Li 7.116 5.805 1.612
Mn 3.616 5.278 5.517
O 5.582 9.376 4.970
O 4.575 11.008 3.504
Li 4.767 5.686 2.765
Li 2.729 10.475 2.777
Li 3.156 1.065 1.633
B 6.779 8.414 0.304
O 8.216 8.918 3.843
O 4.204 4.139 3.831
O 6.109 10.877 8.252
Fe 5.745 3.284 1.145
O 5.941 2.662 3.044
O 6.632 6.178 3.454
O 3.177 7.328 5.362
B 6.725 5.627 4.716
B 2.807 3.666 0.348
O 1.599 4.580 4.948
B 3.040 5.098 8.520
```

Values from the calculation:
- mass density (Mg/m³) = 3.2
- formation energy (meV per atom) = -2439
- magnetization (μB per atom) = 0.77
- space-group type = P1

3.
# Ca3V2Bi2O12

A relaxed structure of Ca3V2Bi2O12 (GGA+U, the Materials Project). Values from VASP.

Cell and atoms, written as Quantum ESPRESSO input:
```
&SYSTEM
  ibrav = 0, nat = 19, ntyp = 4
/
ATOMIC_SPECIES
V 50.94 V.upf
O 16.00 O.upf
Ca 40.08 Ca.upf
Bi 208.98 Bi.upf
CELL_PARAMETERS angstrom
5.499 0.000 0.000
-0.012 7.254 0.000
-0.362 -1.678 7.381
ATOMIC_POSITIONS angstrom
V 1.651 5.531 1.432
O -0.239 3.394 4.810
Ca 3.833 3.648 6.739
O 2.291 0.446 5.754
O 5.376 5.507 1.483
Bi 3.881 3.578 3.075
Ca 1.406 1.910 0.534
Ca 4.096 0.064 2.223
O 5.034 0.166 4.449
O 4.435 -1.176 6.948
O 4.772 1.459 6.823
O 2.390 4.116 0.722
O -0.055 2.007 2.418
O 2.295 6.893 0.567
V 4.061 0.182 5.953
O 2.574 3.276 4.865
O 2.601 1.750 2.669
Bi 1.131 1.885 4.248
O 2.427 5.697 2.965
```

Values from the calculation:
- mass density (Mg/m³) = 4.7
- formation energy (meV per atom) = -2454
- magnetization (μB per atom) = 0.00
- space-group type = P1

4.
# Ca3Fe2Cl2O5

A relaxed structure of Ca3Fe2Cl2O5 (GGA+U, the Materials Project). Values from VASP.

Cell and atoms, written as Quantum ESPRESSO input:
```
&SYSTEM
  ibrav = 0, nat = 24, ntyp = 4
/
ATOMIC_SPECIES
Cl 35.45 Cl.upf
Fe 55.84 Fe.upf
O 16.00 O.upf
Ca 40.08 Ca.upf
CELL_PARAMETERS angstrom
-3.950 3.848 0.000
-3.749 -3.848 1.245
-0.120 3.828 11.473
ATOMIC_POSITIONS angstrom
Cl -4.720 3.058 7.455
Fe -0.421 3.519 9.608
Cl -3.099 0.770 5.263
Cl -0.870 3.058 6.832
O -3.457 -1.573 3.049
O -1.583 0.351 2.426
O -3.558 2.275 2.427
Fe -3.548 0.310 2.488
Cl -3.200 4.618 4.641
O -6.236 3.477 10.292
O -3.849 0.000 0.623
Ca -1.409 2.505 3.500
Ca -5.258 2.505 4.122
O -0.120 3.828 11.473
Ca -2.560 1.324 8.596
Ca -1.975 1.924 0.000
Fe -4.271 3.519 10.231
O -2.387 3.477 9.669
O -5.432 0.351 3.049
O -4.362 5.401 9.669
O -4.261 1.553 10.292
Fe -7.397 0.310 3.110
Ca -6.409 1.324 9.218
Ca -5.824 1.924 0.622
```

Values from the calculation:
- mass density (Mg/m³) = 3.6
- formation energy (meV per atom) = -2410
- magnetization (μB per atom) = 0.00

5.
# Co2BO4

A relaxed structure of Co2BO4 (GGA+U, the Materials Project). Values from VASP.

Cell and atoms, written as Quantum ESPRESSO input:
```
&SYSTEM
  ibrav = 0, nat = 28, ntyp = 3
/
ATOMIC_SPECIES
B 10.81 B.upf
Co 58.93 Co.upf
O 16.00 O.upf
CELL_PARAMETERS angstrom
-2.311 1.743 -1.284
-4.577 -0.174 8.004
4.402 7.818 2.688
ATOMIC_POSITIONS angstrom
B -3.884 4.145 6.762
Co -0.899 4.789 6.166
O 0.900 7.146 6.128
Co -5.455 1.705 6.279
B 0.269 7.213 7.356
B 1.398 5.241 2.646
O -0.110 1.400 0.145
O -3.837 0.431 5.541
O -0.659 6.227 7.687
Co -1.587 4.598 3.242
O 0.515 4.182 2.799
Co -0.029 7.490 4.363
Co -2.457 1.896 5.045
O -4.050 3.188 5.763
Co 0.270 2.761 1.310
Co -2.756 6.625 8.098
B -2.755 2.173 2.052
O -1.200 6.098 4.582
Co 2.969 7.681 3.129
O -1.827 3.159 1.721
O 2.134 5.360 1.482
O -3.386 2.240 3.280
O 1.351 8.955 3.867
O -2.376 7.987 9.263
O -4.620 4.026 7.926
O -3.001 5.204 6.609
O -1.286 3.288 4.826
O 1.564 6.199 3.645
```

Values from the calculation:
- mass density (Mg/m³) = 4.7
- formation energy (meV per atom) = -1798
- magnetization (μB per atom) = 1.00
- space-group type = Pnma

6.
# YVSe2O8

A relaxed structure of YVSe2O8 (GGA+U, the Materials Project). Values from VASP.

Cell and atoms, written as Quantum ESPRESSO input:
```
&SYSTEM
  ibrav = 0, nat = 24, ntyp = 4
/
ATOMIC_SPECIES
O 16.00 O.upf
Se 78.96 Se.upf
Y 88.91 Y.upf
V 50.94 V.upf
CELL_PARAMETERS angstrom
-1.639 3.948 -3.428
-4.931 -0.832 2.237
2.150 7.396 7.490
ATOMIC_POSITIONS angstrom
O -2.277 4.556 -1.135
O -4.733 -0.544 1.897
O -2.873 3.893 6.404
Se -0.485 3.739 1.060
Se -2.907 8.265 3.471
O -4.263 2.676 4.569
O -2.530 6.961 6.553
O -3.087 1.845 -0.936
O -1.591 2.468 3.837
Se 0.679 7.460 4.377
Y -2.727 4.505 4.040
O -2.137 6.715 3.407
O -1.707 4.634 1.901
O -4.349 5.838 5.077
O -3.110 1.781 1.845
Y -1.081 6.895 1.207
V -3.755 0.876 0.213
O -0.152 7.070 7.942
Se -3.788 4.955 -0.333
V -2.109 3.266 -2.620
O -0.751 4.789 5.280
O -0.070 8.965 3.868
O -5.439 1.742 0.374
O -4.619 4.343 2.655
```

Values from the calculation:
- mass density (Mg/m³) = 4.4
- formation energy (meV per atom) = -2157
- magnetization (μB per atom) = 0.00
- space-group type = Aem2

Question: The highest formation energy belongs to which entry?
Answer: Co2BO4